KNaNb2O6 | PBE | relaxed

a b c (Å): 4.0838 4.0025 8.1627
angles (deg): 90.00 90.39 90.00
Element x y z (fractional)
1 K 0.0000 0.0000 0.0000
2 Na 0.0196 0.0000 0.4917
3 Nb 0.5120 0.5000 0.7414
4 Nb 0.5131 0.5000 0.2474
5 O 0.4721 0.5000 0.5106
6 O 0.4732 0.0000 0.2685
7 O 0.4741 0.0000 0.7589
8 O 0.4822 0.5000 0.0139
9 O 0.9763 0.5000 0.7559
10 O 0.9769 0.5000 0.2675

Summary:
SG: Pm, No. 6
Magnetic moment in μB per cell: 0.0
DFT formation energy in eV per atom: -2.83

***

Li2CuP | PBE | relaxed

a b c (Å): 4.0271 4.0271 7.7161
angles (deg): 90.00 90.00 120.00
Element x y z (fractional)
1 Li 0.3333 0.6667 0.0843
2 Li 0.3333 0.6667 0.4157
3 Li 0.6667 0.3333 0.5843
4 Li 0.6667 0.3333 0.9157
5 Cu 0.0000 0.0000 0.2500
6 Cu 0.0000 0.0000 0.7500
7 P 0.3333 0.6667 0.7500
8 P 0.6667 0.3333 0.2500

Summary:
SG: P6_3/mmc, No. 194
DFT formation energy in eV per atom: -0.56

***

Cr3AsC | PBE | relaxed

a b c (Å): 5.3376 5.3376 7.4656
angles (deg): 90.00 90.00 147.60
Element x y z (fractional)
1 Cr 0.0390 0.9610 0.7500
2 Cr 0.3770 0.6230 0.5519
3 Cr 0.3770 0.6230 0.9481
4 Cr 0.6230 0.3770 0.0519
5 Cr 0.6230 0.3770 0.4481
6 Cr 0.9610 0.0390 0.2500
7 As 0.2623 0.7377 0.2500
8 As 0.7377 0.2623 0.7500
9 C 0.0000 0.0000 0.0000
10 C 0.0000 0.0000 0.5000

Summary:
SG: Cmcm, No. 63
Magnetic moment in μB per cell: 3.0
DFT formation energy in eV per atom: -0.07

***

YBiO12 | PBE | relaxed

a b c (Å): 7.7570 7.7570 7.7570
angles (deg): 60.00 60.00 60.00
Element x y z (fractional)
1 Y 0.1250 0.1250 0.1250
2 Y 0.8750 0.8750 0.8750
3 Bi 0.3750 0.3750 0.3750
4 Bi 0.6250 0.6250 0.6250
5 O 0.1332 0.1332 0.4449
6 O 0.1332 0.1332 0.7886
7 O 0.1332 0.4449 0.1332
8 O 0.1332 0.4449 0.7886
9 O 0.1332 0.7886 0.1332
10 O 0.1332 0.7886 0.4449
11 O 0.2114 0.5551 0.8668
12 O 0.2114 0.8668 0.5551
13 O 0.2114 0.8668 0.8668
14 O 0.4449 0.1332 0.1332
15 O 0.4449 0.1332 0.7886
16 O 0.4449 0.7886 0.1332
17 O 0.5551 0.2114 0.8668
18 O 0.5551 0.8668 0.2114
19 O 0.5551 0.8668 0.8668
20 O 0.7886 0.1332 0.1332
21 O 0.7886 0.1332 0.4449
22 O 0.7886 0.4449 0.1332
23 O 0.8668 0.2114 0.5551
24 O 0.8668 0.2114 0.8668
25 O 0.8668 0.5551 0.2114
26 O 0.8668 0.5551 0.8668
27 O 0.8668 0.8668 0.2114
28 O 0.8668 0.8668 0.5551

Summary:
SG: Fd-3m, No. 227
Magnetic moment in μB per cell: 0.0
DFT formation energy in eV per atom: -0.33